Compound: ZnH2O2
Source: Materials Project
Functional: GGA-PBE
Structure: optimized geometry

- Total magnetization: 0.00 μB/f.u.
- V: 10.27 A^3/atom
- Symmetry: P2_12_12_1
- Formation energy: -1.41 eV/atom
- Largest piezoelectric modulus: 0.1 C/m²

```
ZnH2O2
1.0
5.438 0.000 0.000
0.000 5.958 0.000
0.000 0.000 6.338
H O Zn
8 8 4
Direct
0.665 0.901 0.220
0.817 0.776 0.898
0.183 0.276 0.602
0.835 0.099 0.720
0.335 0.401 0.280
0.683 0.224 0.398
0.165 0.599 0.780
0.317 0.724 0.102
0.317 0.635 0.699
0.352 0.886 0.103
0.852 0.614 0.897
0.183 0.365 0.199
0.648 0.386 0.397
0.817 0.865 0.301
0.683 0.135 0.801
0.148 0.114 0.603
0.116 0.049 0.288
0.616 0.451 0.712
0.384 0.951 0.788
0.884 0.549 0.212
```